(1)
Computed, not measured: a relaxed MnF3 crystal at the GGA+U level of DFT.

The value obtained for the formation energy is -2737 meV/atom. The total magnetic moment comes out at 4.00 μB per formula unit. As for the total energy: -5.700 eV per atom.

a = 12.485 Å, b = 12.485 Å, c = 3.907 Å
α = 90.00°, β = 90.00°, γ = 90.00°
Space group P4/mbm (No. 127)
Symmetry-distinct sites (fractional):
Mn 0.000 0.500 0.000
Mn 0.078 0.208 0.000
F 0.000 0.500 0.500
F 0.002 0.346 0.000
F 0.061 0.856 0.000
F 0.079 0.208 0.500
F 0.216 0.284 0.000

***

(2)
Computed, not measured: a relaxed MnNF3 crystal at the GGA+U level of DFT.

The value obtained for the formation energy is -1093 meV/atom. For the distance to the lowest polymorph of the same formula, the calculation gives 0.000 eV/atom. The total magnetic moment comes out at 7.00 μB per formula unit. As for the total energy: -5.131 eV per atom.

a = 5.695 Å, b = 5.695 Å, c = 3.957 Å
α = 90.00°, β = 90.00°, γ = 90.00°
Space group P4/mbm (No. 127)
Symmetry-distinct sites (fractional):
Mn 0.000 0.500 0.000
N 0.000 0.000 0.500
F 0.000 0.500 0.500
F 0.235 0.265 0.000

***

(3)
Computed, not measured: a relaxed MnNF3 crystal at the GGA+U level of DFT.

The value obtained for the formation energy is -713 meV/atom. For the distance to the lowest polymorph of the same formula, the calculation gives 0.380 eV/atom. The total magnetic moment comes out at 1.00 μB per formula unit. As for the total energy: -4.751 eV per atom.

a = 3.983 Å, b = 3.983 Å, c = 3.983 Å
α = 90.00°, β = 90.00°, γ = 90.00°
Space group Pm-3m (No. 221)
Symmetry-distinct sites (fractional):
Mn 0.000 0.000 0.000
N 0.500 0.500 0.500
F 0.000 0.000 0.500

***

(4)
Computed, not measured: a relaxed MnNF3 crystal at the GGA+U level of DFT.

The value obtained for the formation energy is -1093 meV/atom. For the distance to the lowest polymorph of the same formula, the calculation gives 0.001 eV/atom. The total magnetic moment comes out at 7.00 μB per formula unit. As for the total energy: -5.130 eV per atom.

a = 5.704 Å, b = 7.904 Å, c = 5.713 Å
α = 90.00°, β = 90.00°, γ = 90.00°
Space group Pnma (No. 62)
Symmetry-distinct sites (fractional):
Mn 0.000 0.000 0.000
N 0.002 0.250 0.499
F 0.001 0.250 0.012
F 0.224 0.506 0.242

***

(5)
Computed, not measured: a relaxed MnNF3 crystal at the GGA+U level of DFT.

The value obtained for the formation energy is -1085 meV/atom. For the distance to the lowest polymorph of the same formula, the calculation gives 0.009 eV/atom. The total magnetic moment comes out at 7.00 μB per formula unit. As for the total energy: -5.122 eV per atom.

a = 5.604 Å, b = 8.055 Å, c = 5.658 Å
α = 90.00°, β = 90.00°, γ = 90.00°
Space group Pnma (No. 62)
Symmetry-distinct sites (fractional):
Mn 0.000 0.000 0.000
N 0.003 0.250 0.497
F 0.001 0.250 0.010
F 0.249 0.004 0.767

***

(6)
Computed, not measured: a relaxed MnNF3 crystal at the GGA+U level of DFT.

The value obtained for the formation energy is -1092 meV/atom. For the distance to the lowest polymorph of the same formula, the calculation gives 0.001 eV/atom. The total magnetic moment comes out at 7.00 μB per formula unit. As for the total energy: -5.130 eV per atom.

a = 5.672 Å, b = 5.718 Å, c = 3.939 Å
α = 90.00°, β = 90.00°, γ = 90.00°
Space group Pbam (No. 55)
Symmetry-distinct sites (fractional):
Mn 0.000 0.000 0.000
N 0.000 0.500 0.500
F 0.000 0.000 0.500
F 0.245 0.221 0.000

***

(7)
Computed, not measured: a relaxed NaMnF4 crystal at the GGA+U level of DFT.

The value obtained for the formation energy is -2908 meV/atom. As for the total energy: -5.346 eV per atom.

a = 5.854 Å, b = 5.017 Å, c = 5.908 Å
α = 90.00°, β = 108.67°, γ = 90.00°
Space group P2_1/c (No. 14)
Symmetry-distinct sites (fractional):
Na 0.000 0.000 0.000
Mn 0.500 0.000 0.500
F 0.192 0.149 0.386
F 0.381 0.735 0.666

***

(8)
Computed, not measured: a relaxed NaMn3F10 crystal at the GGA+U level of DFT.

The value obtained for the formation energy is -2826 meV/atom. As for the total energy: -5.563 eV per atom.

a = 13.417 Å, b = 15.963 Å, c = 7.484 Å
α = 90.00°, β = 90.00°, γ = 90.00°
Space group Fdd2 (No. 43)
Symmetry-distinct sites (fractional):
Na 0.000 0.000 0.000
Mn 0.000 0.000 0.481
Mn 0.000 0.250 0.478
F 0.000 0.133 0.484
F 0.003 0.363 0.471
F 0.046 0.246 0.228
F 0.097 0.498 0.795
F 0.099 0.001 0.661

***

(9)
Computed, not measured: a relaxed NaMnF3 crystal at the GGA+U level of DFT.

The value obtained for the formation energy is -2967 meV/atom. As for the total energy: -5.602 eV per atom.

a = 5.839 Å, b = 8.124 Å, c = 5.619 Å
α = 90.00°, β = 90.00°, γ = 90.00°
Space group Pnma (No. 62)
Symmetry-distinct sites (fractional):
Na 0.057 0.250 0.016
Mn 0.000 0.000 0.500
F 0.054 0.750 0.381
F 0.196 0.563 0.808

***

(10)
Computed, not measured: a relaxed NaMnO3F4 crystal at the GGA+U level of DFT.

The value obtained for the formation energy is -1637 meV/atom. The total magnetic moment comes out at 4.00 μB per formula unit. As for the total energy: -4.858 eV per atom.

a = 16.637 Å, b = 6.563 Å, c = 11.273 Å
α = 90.00°, β = 105.33°, γ = 90.00°
Space group C2/c (No. 15)
Symmetry-distinct sites (fractional):
Na 0.027 0.245 0.468
Mn 0.000 0.257 0.750
Mn 0.250 0.250 0.500
O 0.115 0.263 0.792
O 0.155 0.315 0.292
O 0.171 0.251 0.199
F 0.001 0.452 0.871
F 0.002 0.059 0.868
F 0.157 0.184 0.556
F 0.241 0.487 0.046

***

(11)
Computed, not measured: a relaxed Na2MnP2O7F3 crystal at the GGA+U level of DFT.

The value obtained for the formation energy is -2467 meV/atom. The total magnetic moment comes out at 2.00 μB per formula unit. As for the total energy: -6.143 eV per atom.

a = 4.649 Å, b = 6.156 Å, c = 7.974 Å
α = 105.07°, β = 97.14°, γ = 105.94°
Space group P1 (No. 1)
Symmetry-distinct sites (fractional):
Na 0.000 0.000 0.000
Na 0.400 0.714 0.589
Mn 0.706 0.364 0.816
P 0.067 0.128 0.541
P 0.347 0.598 0.102
O 0.043 0.393 0.999
O 0.097 0.889 0.472
O 0.316 0.847 0.143
O 0.364 0.340 0.634
O 0.448 0.553 0.275
O 0.596 0.605 0.986
O 0.820 0.119 0.657
F 0.470 0.112 0.878
F 0.937 0.617 0.753
F 0.941 0.210 0.383

***

(12)
Computed, not measured: a relaxed Na4Mn2P2O7F6 crystal at the GGA+U level of DFT.

The value obtained for the formation energy is -2745 meV/atom. The total magnetic moment comes out at 8.00 μB per formula unit. As for the total energy: -6.061 eV per atom.

a = 7.917 Å, b = 8.269 Å, c = 10.648 Å
α = 90.00°, β = 129.57°, γ = 90.00°
Space group P2/c (No. 13)
Symmetry-distinct sites (fractional):
Na 0.000 0.000 0.000
Na 0.000 0.249 0.250
Na 0.500 0.225 0.750
Na 0.500 0.317 0.250
Mn 0.000 0.500 0.000
Mn 0.500 0.000 0.000
P 0.232 0.362 0.866
O 0.000 0.262 0.750
O 0.187 0.493 0.436
O 0.279 0.422 0.755
O 0.400 0.247 0.999
F 0.091 0.286 0.080
F 0.261 0.091 0.479
F 0.323 0.008 0.772

***

Which of these has the highest total energy? number 3

***

Among the records above, which one has the highest total energy? number 3